Record 1
DFT (PBE+U) results for crystalline Li2FePCO7 at its relaxed geometry.

- formation enthalpy at 0 K (eV/atom) = -2.291
- calculated total energy (eV per atom) = -6.83
- calculated density (kg/m³) = 2739
- SG = P-1, No. 2
- V (Å³ per cell) = 545

a b c (Å): 5.0734 8.4558 12.8339
angles (deg): 94.49 93.64 95.53
With the nearest neighbours (Å) after each atom.
Sites, in units of the cell vectors:
O 0.0851 0.0731 0.8569  1 C 1.28
Li 0.2077 0.2488 0.7758  4 O 1.96-2.15
Fe 0.6985 0.3441 0.1227  5 O 1.94-2.09
O 0.3833 0.6543 0.7200  1 P 1.55
O 0.6167 0.3457 0.2800  1 P 1.55
O 0.3601 0.4279 0.0938  1 P 1.53
O 0.0491 0.8313 0.3596  1 C 1.35
Li 0.7923 0.7512 0.2242  4 O 1.96-2.15
O 0.0590 0.4516 0.8555  1 P 1.56
Li 0.7555 0.7420 0.7179  4 O 1.96-2.10
Li 0.2445 0.2580 0.2821  4 O 1.96-2.10
Li 0.1268 0.2193 0.5084  4 O 1.95-2.09
O 0.4183 0.9146 0.8828  1 C 1.31
Li 0.8732 0.7807 0.4916  4 O 1.95-2.09
O 0.2260 0.6824 0.5299  1 P 1.54
P 0.7612 0.4164 0.8781  4 O 1.53-1.57
O 0.6073 0.3228 0.7790  1 P 1.57
O 0.4808 0.8988 0.3919  1 C 1.30
O 0.5817 0.0854 0.1172  1 C 1.31
Fe 0.3015 0.6559 0.8773  5 O 1.94-2.09
P 0.2157 0.5749 0.6216  4 O 1.54-1.57
O 0.6399 0.5721 0.9062  1 P 1.53
O 0.2049 0.0948 0.3819  1 C 1.27
O 0.9509 0.1687 0.6404  1 C 1.35
O 0.6756 0.5876 0.4110  1 P 1.57
O 0.2593 0.6977 0.0327  1 P 1.56
O 0.7407 0.3023 0.9673  1 P 1.56
Fe 0.3233 0.6607 0.3770  6 O 1.98-2.11
C 0.2490 0.9495 0.3780  3 O 1.27-1.35
O 0.0823 0.4565 0.3518  1 P 1.57
O 0.7740 0.3176 0.4701  1 P 1.54
O 0.3244 0.4124 0.5890  1 P 1.57
O 0.3927 0.6772 0.2210  1 P 1.57
C 0.7510 0.0505 0.6220  3 O 1.27-1.35
Fe 0.6767 0.3393 0.6230  6 O 1.98-2.11
C 0.8298 0.0638 0.1418  3 O 1.28-1.31
O 0.9410 0.5484 0.1445  1 P 1.56
O 0.0105 0.8049 0.8399  1 C 1.31
O 0.7951 0.9052 0.6181  1 C 1.27
P 0.2388 0.5836 0.1219  4 O 1.53-1.57
Li 0.2834 0.9185 0.0978  3 O 1.96-2.00
O 0.9149 0.9269 0.1431  1 C 1.28
P 0.7843 0.4251 0.3784  4 O 1.54-1.57
O 0.5192 0.1012 0.6081  1 C 1.30
O 0.9177 0.5435 0.6482  1 P 1.57
Li 0.7166 0.0815 0.9022  3 O 1.96-2.00
O 0.9895 0.1951 0.1601  1 C 1.31
C 0.1702 0.9362 0.8582  3 O 1.28-1.31

---

Record 2
DFT (PBE+U) results for crystalline Li4Mn3OF8 at its relaxed geometry.

- formation enthalpy at 0 K (eV/atom) = -2.851
- calculated total energy (eV per atom) = -5.73
- calculated density (kg/m³) = 3256
- SG = Pmn2_1, No. 31
- V (Å³ per cell) = 736

a b c (Å): 5.2494 5.7147 24.5201
angles (deg): 90.00 90.00 90.00
With the nearest neighbours (Å) after each atom.
Sites, in units of the cell vectors:
F 0.6991 0.0130 0.2905  2 Li 1.88-1.89
O 0.3092 0.1037 0.5600  2 Li 1.96-2.04, 2 Mn 2.09-2.12
Li 0.4293 0.5140 0.7186  4 F 1.85-2.02
F 0.3390 0.9916 0.0000  2 Li 1.91
Li 0.0237 0.5983 0.0631  3 F 1.87-2.01, 1 O 2.04
F 0.2311 0.2533 0.8960  1 Li 1.93, 2 Mn 2.13-2.15
Li 0.5237 0.4017 0.4369  3 F 1.87-2.01, 1 O 2.04
Mn 0.9914 0.5098 0.6412  5 F 2.08-2.14
Mn 0.9537 0.1201 0.0000  2 O 2.09, 1 F 2.15
Mn 0.4859 0.0174 0.3648  1 O 2.12, 5 F 2.14-2.21
F 0.7806 0.5110 0.2870  2 Li 1.85-1.86
F 0.2919 0.7573 0.1022  2 Li 1.93-2.16, 1 Mn 2.08
Mn 0.4914 0.4902 0.8588  5 F 2.08-2.14
F 0.2395 0.7652 0.6771  2 Li 1.99-2.02, 2 Mn 2.14-2.19
F 0.2453 0.2673 0.3202  2 Li 1.96-2.04, 1 Mn 2.14
Li 0.4842 0.0598 0.9306  2 F 1.91-1.93, 1 O 1.96
F 0.7395 0.2348 0.8229  2 Li 1.99-2.02, 2 Mn 2.14-2.19
Li 0.9842 0.9402 0.4306  2 F 1.91-1.93, 1 O 1.96
Mn 0.9859 0.9826 0.1352  1 O 2.12, 5 F 2.14-2.21
O 0.3092 0.1037 0.4400  2 Li 1.96-2.04, 2 Mn 2.09-2.12
F 0.7311 0.7467 0.3960  1 Li 1.93, 2 Mn 2.13-2.15
Li 0.0551 0.0076 0.7202  4 F 1.88-2.04
F 0.8390 0.0084 0.5000  2 Li 1.91
Li 0.9842 0.9402 0.5694  2 F 1.91-1.93, 1 O 1.96
F 0.7453 0.7327 0.1798  2 Li 1.96-2.04, 1 Mn 2.14
F 0.7311 0.7467 0.6040  1 Li 1.93, 2 Mn 2.13-2.15
F 0.2024 0.5925 0.4402  1 Li 2.01, 1 Mn 2.24
F 0.1991 0.9870 0.2095  2 Li 1.88-1.89
F 0.2395 0.7652 0.3229  2 Li 1.99-2.02, 2 Mn 2.14-2.19
Li 0.9293 0.4860 0.7814  4 F 1.85-2.02
F 0.2919 0.7573 0.8978  2 Li 1.93-2.16, 1 Mn 2.08
Mn 0.4859 0.0174 0.6352  1 O 2.12, 5 F 2.14-2.21
F 0.1787 0.4836 0.0000  2 Li 1.87
Li 0.0237 0.5983 0.9369  3 F 1.87-2.01, 1 O 2.04
F 0.2453 0.2673 0.6798  2 Li 1.96-2.04, 1 Mn 2.14
F 0.7806 0.5110 0.7130  2 Li 1.85-1.86
F 0.7395 0.2348 0.1771  2 Li 1.99-2.02, 2 Mn 2.14-2.19
Li 0.5551 0.9924 0.2202  4 F 1.88-2.04
Mn 0.0911 0.3150 0.5000  4 F 2.20-2.45, 2 O 2.22
F 0.6787 0.5164 0.5000  2 Li 1.87
Mn 0.9859 0.9826 0.8648  1 O 2.12, 5 F 2.14-2.21
F 0.7453 0.7327 0.8202  2 Li 1.96-2.04, 1 Mn 2.14
F 0.2311 0.2533 0.1040  1 Li 1.93, 2 Mn 2.13-2.15
F 0.7024 0.4075 0.9402  1 Li 2.01, 1 Mn 2.24
F 0.6991 0.0130 0.7095  2 Li 1.88-1.89
Li 0.5237 0.4017 0.5631  3 F 1.87-2.01, 1 O 2.04
Mn 0.4537 0.8799 0.5000  2 O 2.09, 1 F 2.15
F 0.2024 0.5925 0.5598  1 Li 2.01, 1 Mn 2.24
Li 0.9293 0.4860 0.2186  4 F 1.85-2.02
O 0.8092 0.8963 0.9400  2 Li 1.96-2.04, 2 Mn 2.09-2.12
Li 0.5551 0.9924 0.7798  4 F 1.88-2.04
F 0.2806 0.4890 0.2130  2 Li 1.85-1.86
Mn 0.5911 0.6850 0.0000  4 F 2.20-2.45, 2 O 2.22
Mn 0.4914 0.4902 0.1412  5 F 2.08-2.14
O 0.8092 0.8963 0.0600  2 Li 1.96-2.04, 2 Mn 2.09-2.12
F 0.7919 0.2427 0.6022  2 Li 1.93-2.16, 1 Mn 2.08
F 0.1991 0.9870 0.7905  2 Li 1.88-1.89
Li 0.4293 0.5140 0.2814  4 F 1.85-2.02
F 0.2806 0.4890 0.7870  2 Li 1.85-1.86
Li 0.0551 0.0076 0.2798  4 F 1.88-2.04
F 0.7919 0.2427 0.3978  2 Li 1.93-2.16, 1 Mn 2.08
Li 0.4842 0.0598 0.0694  2 F 1.91-1.93, 1 O 1.96
Mn 0.9914 0.5098 0.3588  5 F 2.08-2.14
F 0.7024 0.4075 0.0598  1 Li 2.01, 1 Mn 2.24

---

Record 3
DFT (PBE+U) results for crystalline Na2CoGeO4 at its relaxed geometry.

- formation enthalpy at 0 K (eV/atom) = -1.911
- calculated total energy (eV per atom) = -5.63
- calculated density (kg/m³) = 3625
- V (Å³ per cell) = 443

a b c (Å): 6.2564 8.4718 8.4717
angles (deg): 80.30 90.00 90.00
With the nearest neighbours (Å) after each atom.
Sites, in units of the cell vectors:
Ge 0.8480 0.2502 0.7498  4 O 1.78-1.80
O 0.1270 0.4124 0.0876  1 Ge 1.78, 1 Co 1.96
O 0.1270 0.9124 0.5876  1 Ge 1.78, 1 Co 1.96
O 0.1039 0.1796 0.8204  1 Ge 1.78
Na 0.3345 0.6209 0.1300  4 O 2.27-2.35
O 0.3007 0.0950 0.1765  1 Ge 1.80
Na 0.3345 0.3700 0.8791  4 O 2.27-2.35
O 0.8961 0.1796 0.3204  1 Ge 1.78
O 0.6993 0.0950 0.6765  1 Ge 1.80
O 0.3007 0.5950 0.6765  1 Ge 1.80
Co 0.8518 0.4984 0.0016  4 O 1.96-2.05
O 0.8730 0.4124 0.5876  1 Ge 1.78, 1 Co 1.96
Ge 0.1520 0.2502 0.2498  4 O 1.78-1.80
Na 0.6655 0.1209 0.1300  4 O 2.27-2.35
Na 0.6655 0.3700 0.3791  4 O 2.27-2.35
O 0.1039 0.6796 0.3204  1 Ge 1.78
Co 0.1482 0.9984 0.0016  4 O 1.96-2.05
Co 0.8518 0.9984 0.5016  4 O 1.96-2.05
O 0.6992 0.8235 0.4050  1 Ge 1.80
Na 0.6655 0.6209 0.6300  4 O 2.27-2.35
O 0.3008 0.8235 0.9050  1 Ge 1.80
Co 0.1482 0.4984 0.5016  4 O 1.96-2.05
O 0.6992 0.3235 0.9050  1 Ge 1.80
O 0.6993 0.5950 0.1765  1 Ge 1.80
Na 0.3345 0.1209 0.6300  4 O 2.27-2.35
Ge 0.8480 0.7502 0.2498  4 O 1.78-1.80
O 0.8961 0.6796 0.8204  1 Ge 1.78
Na 0.3345 0.8700 0.3791  4 O 2.27-2.35
O 0.3008 0.3235 0.4050  1 Ge 1.80
Ge 0.1520 0.7502 0.7498  4 O 1.78-1.80
Na 0.6655 0.8700 0.8791  4 O 2.27-2.35
O 0.8730 0.9124 0.0876  1 Ge 1.78, 1 Co 1.96

---

Record 4
DFT (PBE+U) results for crystalline Li2Mn3O6 at its relaxed geometry.

- formation enthalpy at 0 K (eV/atom) = -2.074
- calculated total energy (eV per atom) = -6.79
- calculated density (kg/m³) = 4010
- V (Å³ per cell) = 227

a b c (Å): 5.3927 6.5587 6.5587
angles (deg): 82.05 96.06 96.06
With the nearest neighbours (Å) after each atom.
Sites, in units of the cell vectors:
Li 0.2500 0.7557 0.7443  6 O 2.15-2.22
O 0.1578 0.7349 0.0683  3 Mn 1.96-1.99
O 0.5958 0.5525 0.2217  2 Mn 1.92-1.94, 1 Li 2.15
O 0.5958 0.8884 0.8859  2 Mn 1.92-1.94, 1 Li 2.15
Mn 0.0000 0.3334 0.6666  6 O 1.94-1.96
O 0.3422 0.4318 0.7651  3 Mn 1.96-1.99
Li 0.2500 0.4110 0.0890  6 O 2.15-2.22
O 0.8422 0.9317 0.2651  3 Mn 1.96-1.99
O 0.0958 0.3884 0.3859  2 Mn 1.92-1.94, 1 Li 2.15
Mn 0.5000 0.8333 0.1667  6 O 1.94-1.96
O 0.6578 0.2349 0.5682  3 Mn 1.96-1.99
O 0.4042 0.7783 0.4475  2 Mn 1.92-1.94, 1 Li 2.15
Mn 0.0000 0.6664 0.3336  4 O 1.92-1.99
Mn 0.5000 0.1663 0.8337  4 O 1.92-1.99
Mn 0.0000 0.0003 0.9997  4 O 1.92-1.99
O 0.4042 0.1141 0.1116  2 Mn 1.92-1.94, 1 Li 2.15
Li 0.7500 0.2557 0.2443  6 O 2.15-2.22
Mn 0.5000 0.5003 0.4997  4 O 1.92-1.99
O 0.9042 0.6141 0.6116  2 Mn 1.92-1.94, 1 Li 2.15
O 0.0958 0.0526 0.7217  2 Mn 1.92-1.94, 1 Li 2.15
O 0.9042 0.2783 0.9474  2 Mn 1.92-1.94, 1 Li 2.15
Li 0.7500 0.9110 0.5890  6 O 2.15-2.22

---

Record 5
DFT (PBE+U) results for crystalline Nd2NiO4 at its relaxed geometry.

- formation enthalpy at 0 K (eV/atom) = -2.944
- calculated total energy (eV per atom) = -7.20
- calculated density (kg/m³) = 7415
- SG = I4/mmm, No. 139
- V (Å³ per cell) = 92

a b c (Å): 6.7406 6.7406 6.7406
angles (deg): 146.67 146.67 47.85
With the nearest neighbours (Å) after each atom.
Sites, in units of the cell vectors:
Ni 0.0000 0.0000 0.0000  4 O 1.93
O 0.1787 0.1787 0.0000  1 Ni 2.20, 1 Nd 2.29
Nd 0.3645 0.3645 0.0000  5 O 2.29-2.55
Nd 0.6355 0.6355 0.0000  5 O 2.29-2.55
O 0.8213 0.8213 0.0000  1 Ni 2.20, 1 Nd 2.29
O 0.0000 0.5000 0.5000  2 Ni 1.93
O 0.5000 0.0000 0.5000  2 Ni 1.93

---

Record 6
DFT (PBE+U) results for crystalline LiTiFe5O8 at its relaxed geometry.

- formation enthalpy at 0 K (eV/atom) = -1.858
- calculated total energy (eV per atom) = -6.86
- calculated density (kg/m³) = 4522
- SG = P1, No. 1
- V (Å³ per cell) = 170

a b c (Å): 6.2412 6.1770 6.1647
angles (deg): 90.00 60.28 119.64
With the nearest neighbours (Å) after each atom.
Sites, in units of the cell vectors:
O 0.5121 0.2453 0.7237  1 Li 1.92, 1 Fe 1.97
Fe 0.5802 0.5621 0.4582  5 O 2.05-2.28, 1 Li 2.25
O 0.0541 0.7793 0.7226  1 Li 1.81
O 0.0346 0.7425 0.2326  4 Fe 1.94-2.14
Fe 0.0121 0.5041 0.5061  5 O 2.03-2.24
Fe 0.0135 0.5051 0.9806  5 O 2.03-2.25
O 0.9904 0.2244 0.2544  1 Ti 1.93, 1 Fe 1.99
Ti 0.5575 0.0041 0.4685  3 O 1.88-1.93
Li 0.2142 0.1282 0.6510  4 O 1.78-1.96
O 0.5064 0.7712 0.2734  1 Ti 1.88, 2 Fe 1.96-2.07
Fe 0.7152 0.8574 0.8892  4 O 1.96-2.15
O 0.5051 0.7697 0.7160  1 Ti 1.89, 2 Fe 1.96-2.06
O 0.0131 0.2772 0.7433  1 Li 1.78
O 0.5107 0.2448 0.2693  1 Li 1.96, 1 Fe 1.97, 1 Ti 2.14
Fe 0.2808 0.1243 0.1113  4 O 1.94-1.99